Entry 1:
Computed, not measured: crystalline Ta4MoS8 at its relaxed geometry at the PBE-GGA level of DFT.

```
Ta4MoS8
1.0
-1.1108 3.1220 0.2415
0.7917 -1.6985 2.7436
23.8571 8.6088 -1.5545
Ta Mo S
4 1 8
Direct
0.0000 0.0000 0.3733
0.0000 0.0000 0.8752
0.0000 0.0000 0.6267
0.0000 0.0000 0.1248
0.0000 0.0000 0.5000
0.3333 0.6667 0.4360
0.3333 0.6667 0.9366
0.6667 0.3333 0.5640
0.6667 0.3333 0.0634
0.6667 0.3333 0.6884
0.6667 0.3333 0.1866
0.3333 0.6667 0.3116
0.3333 0.6667 0.8134
```

total moment: 0.03 μB per formula unit
calculated volume: 18.69 Å³/atom
ρ: 7.4 g cm⁻³
formation energy: -1553 kJ/mol of formula units


Entry 2:
Computed, not measured: crystalline Mg6CuW at its relaxed geometry at the PBE-GGA level of DFT.

```
Mg6CuW
1.0
4.7929 0.0000 0.0000
0.0000 5.9732 0.0000
0.0000 0.0000 10.5546
Mg Cu W
12 2 2
Direct
0.5000 0.7519 0.9215
0.5000 0.2481 0.9215
0.0000 0.2426 0.5869
0.0000 0.7574 0.5869
0.0000 0.5000 0.8216
0.0000 0.0000 0.8232
0.5000 0.2519 0.4215
0.5000 0.7481 0.4215
0.0000 0.7426 0.0869
0.0000 0.2574 0.0869
0.0000 0.0000 0.3216
0.0000 0.5000 0.3232
0.5000 0.5000 0.6661
0.5000 0.0000 0.1661
0.5000 0.0000 0.6722
0.5000 0.5000 0.1722
```

total moment: 0.00 μB per formula unit
calculated volume: 18.89 Å³/atom
ρ: 4.3 g cm⁻³
formation energy: 242 kJ/mol of formula units


Entry 3:
Computed, not measured: crystalline Cs2WCl6 at its relaxed geometry at the PBE-GGA level of DFT.

```
Cs2WCl6
1.0
2.8649 6.7946 -1.3260
2.0669 1.9038 -6.9452
-3.9767 5.0584 -3.8380
Cs W Cl
2 1 6
Direct
0.7500 0.7500 0.7500
0.2500 0.2500 0.2500
0.0000 0.0000 0.0000
0.2266 0.7734 0.7734
0.7734 0.2266 0.7734
0.2266 0.7734 0.2266
0.7734 0.2266 0.2266
0.7734 0.7734 0.2266
0.2266 0.2266 0.7734
```

calculated volume: 33.04 Å³/atom
ρ: 3.7 g cm⁻³
formation energy: -1576 kJ/mol of formula units


Entry 4:
Computed, not measured: crystalline Na9Mg2Nb4Si6P3O36 at its relaxed geometry at the PBE-GGA level of DFT.

```
Na9Mg2Nb4Si6P3O36
1.0
13.0721 0.0024 -8.7220
0.0013 27.1230 -0.0040
-0.1794 -0.0014 9.0173
Na Mg Nb Si P O
36 8 16 24 12 144
Direct
0.2582 0.2459 0.0274
0.2502 0.5905 0.0178
0.2589 0.9139 0.0198
0.7507 0.2515 0.5037
0.7469 0.5819 0.5009
0.7573 0.9162 0.5220
0.7502 0.0905 0.0178
0.7589 0.4139 0.0198
0.7582 0.7459 0.0274
0.2469 0.0819 0.5009
0.2573 0.4162 0.5220
0.2507 0.7515 0.5037
0.4873 0.0252 0.7178
0.4899 0.3678 0.7424
0.4869 0.6953 0.7241
0.4914 0.2965 0.2556
0.5004 0.6276 0.2695
0.5018 0.9584 0.2767
0.9869 0.1953 0.7241
0.9873 0.5252 0.7178
0.9899 0.8678 0.7424
0.0004 0.1276 0.2695
0.0018 0.4584 0.2767
0.9914 0.7965 0.2556
0.8164 0.9794 0.2054
0.2071 0.3091 0.2989
0.1968 0.9746 0.2835
0.2002 0.3593 0.7904
0.8179 0.0200 0.7102
0.8162 0.6956 0.6854
0.3164 0.4794 0.2054
0.6968 0.4746 0.2835
0.7071 0.8091 0.2989
0.7002 0.8593 0.7904
0.3162 0.1956 0.6854
0.3179 0.5200 0.7102
0.8967 0.9171 0.9390
0.8946 0.0852 0.4324
0.8967 0.4161 0.4430
0.8963 0.7486 0.4349
0.3967 0.4171 0.9390
0.3963 0.2486 0.4349
0.3946 0.5852 0.4324
0.3967 0.9161 0.4430
0.1049 0.2499 0.5781
0.1066 0.5840 0.5681
0.1063 0.9157 0.5687
0.8908 0.2497 0.9313
0.8955 0.5822 0.9398
0.1056 0.0844 0.0606
0.1049 0.4169 0.0610
0.1059 0.7505 0.0625
0.6066 0.0840 0.5681
0.6063 0.4157 0.5687
0.6049 0.7499 0.5781
0.3955 0.0822 0.9398
0.3908 0.7497 0.9313
0.6059 0.2505 0.0625
0.6056 0.5844 0.0606
0.6049 0.9169 0.0610
0.9943 0.3212 0.7423
0.4943 0.8212 0.7423
0.3525 0.2991 0.7508
0.3527 0.6305 0.7499
0.3508 0.9638 0.7450
0.6400 0.2976 0.7312
0.6450 0.6308 0.7350
0.6456 0.9669 0.7368
0.6486 0.0344 0.2471
0.6442 0.7005 0.2472
0.3527 0.0354 0.2565
0.3495 0.3692 0.2457
0.3522 0.7031 0.2563
0.8527 0.1305 0.7499
0.8508 0.4638 0.7450
0.8525 0.7991 0.7508
0.1450 0.1308 0.7350
0.1456 0.4669 0.7368
0.1400 0.7976 0.7312
0.1442 0.2005 0.2472
0.1486 0.5344 0.2471
0.8522 0.2031 0.2563
0.8527 0.5354 0.2565
0.8495 0.8692 0.2457
0.0013 0.6540 0.7474
0.0010 0.9866 0.7432
0.0014 0.0130 0.2447
0.0003 0.3464 0.2507
0.0010 0.6807 0.2478
0.5013 0.1540 0.7474
0.5010 0.4866 0.7432
0.5010 0.1807 0.2478
0.5014 0.5130 0.2447
0.5003 0.8464 0.2507
0.6409 0.3672 0.2394
0.1409 0.8672 0.2394
0.1513 0.1923 0.7499
0.1476 0.5290 0.7457
0.1464 0.8593 0.7411
0.8466 0.1906 0.7705
0.8488 0.5249 0.7770
0.8430 0.8581 0.7564
0.8491 0.1444 0.2490
0.8425 0.4765 0.2417
0.8405 0.8102 0.2536
0.1446 0.1390 0.2424
0.1413 0.4734 0.2454
0.1468 0.8088 0.2484
0.6476 0.0290 0.7457
0.6464 0.3593 0.7411
0.6513 0.6923 0.7499
0.3488 0.0249 0.7770
0.3430 0.3581 0.7564
0.3466 0.6906 0.7705
0.3405 0.3102 0.2536
0.3491 0.6444 0.2490
0.3425 0.9765 0.2417
0.6468 0.3088 0.2484
0.6446 0.6390 0.2424
0.6413 0.9734 0.2454
0.4310 0.1845 0.5814
0.4353 0.5183 0.5765
0.4289 0.8544 0.5710
0.5653 0.1872 0.9209
0.5665 0.5203 0.9185
0.5709 0.8560 0.9291
0.5617 0.1455 0.4159
0.5660 0.4775 0.4140
0.5657 0.8132 0.4241
0.4446 0.1474 0.0767
0.4406 0.4822 0.0744
0.4468 0.8124 0.0840
0.9353 0.0183 0.5765
0.9289 0.3544 0.5710
0.9310 0.6845 0.5814
0.0665 0.0203 0.9185
0.0709 0.3560 0.9291
0.0653 0.6872 0.9209
0.0657 0.3132 0.4241
0.0617 0.6455 0.4159
0.0660 0.9775 0.4140
0.9468 0.3124 0.0840
0.9446 0.6474 0.0767
0.9406 0.9822 0.0744
0.2543 0.2732 0.7476
0.2545 0.6051 0.7413
0.2529 0.9389 0.7353
0.7490 0.2778 0.7684
0.7546 0.6140 0.7643
0.7481 0.9488 0.7536
0.7457 0.0517 0.2482
0.7348 0.3911 0.2590
0.7378 0.7256 0.2543
0.2522 0.0593 0.2434
0.2552 0.3964 0.2529
0.2518 0.7291 0.2393
0.7545 0.1051 0.7413
0.7529 0.4389 0.7353
0.7543 0.7732 0.7476
0.2546 0.1140 0.7643
0.2481 0.4488 0.7536
0.2490 0.7778 0.7684
0.2378 0.2256 0.2543
0.2457 0.5517 0.2482
0.2348 0.8911 0.2590
0.7518 0.2291 0.2393
0.7522 0.5593 0.2434
0.7552 0.8964 0.2529
0.3495 0.2806 0.5798
0.3592 0.6199 0.5842
0.3501 0.9609 0.5676
0.6327 0.2837 0.9071
0.6382 0.6158 0.9105
0.6443 0.9525 0.9215
0.6458 0.0499 0.4262
0.6370 0.3815 0.4078
0.6423 0.7142 0.4278
0.3564 0.0568 0.0872
0.3412 0.3881 0.0702
0.3571 0.7242 0.0897
0.8592 0.1199 0.5842
0.8501 0.4609 0.5676
0.8495 0.7806 0.5798
0.1382 0.1158 0.9105
0.1443 0.4525 0.9215
0.1327 0.7837 0.9071
0.1423 0.2142 0.4278
0.1458 0.5499 0.4262
0.1370 0.8815 0.4078
0.8571 0.2242 0.0897
0.8564 0.5568 0.0872
0.8412 0.8881 0.0702
0.4614 0.2747 0.9359
0.4607 0.6070 0.9371
0.4612 0.9420 0.9250
0.5408 0.2781 0.5476
0.5453 0.6117 0.5531
0.5389 0.9481 0.5627
0.5359 0.0554 0.0731
0.5400 0.3828 0.0674
0.5309 0.7185 0.0723
0.4622 0.0570 0.4379
0.4620 0.3916 0.4298
0.4616 0.7244 0.4434
0.9607 0.1070 0.9371
0.9612 0.4420 0.9250
0.9614 0.7747 0.9359
0.0453 0.1117 0.5531
0.0389 0.4481 0.5627
0.0408 0.7781 0.5476
0.0309 0.2185 0.0723
0.0359 0.5554 0.0731
0.0400 0.8828 0.0674
0.9616 0.2244 0.4434
0.9622 0.5570 0.4379
0.9620 0.8916 0.4298
0.0848 0.2872 0.7459
0.0812 0.6209 0.7452
0.0833 0.9540 0.7408
0.9268 0.2804 0.7687
0.9297 0.6181 0.7676
0.9317 0.9512 0.7627
0.9293 0.0472 0.2586
0.9239 0.3812 0.2496
0.9232 0.7137 0.2482
0.0882 0.0440 0.2495
0.0845 0.3776 0.2497
0.0828 0.7128 0.2456
0.5812 0.1209 0.7452
0.5833 0.4540 0.7408
0.5848 0.7872 0.7459
0.4297 0.1181 0.7676
0.4317 0.4512 0.7627
0.4268 0.7804 0.7687
0.4232 0.2137 0.2482
0.4293 0.5472 0.2586
0.4239 0.8812 0.2496
0.5828 0.2128 0.2456
0.5882 0.5440 0.2495
0.5845 0.8776 0.2497
```

total moment: 0.00 μB per formula unit
calculated volume: 13.14 Å³/atom
ρ: 3.1 g cm⁻³
formation energy: -16644 kJ/mol of formula units